Arrangement a

First-principles (GGA+U) data for a relaxed Li5V3P8O29 crystal, as listed in the Materials Project.

Geometry as extended XYZ:
```
90
Lattice="-9.734 0.000 0.000 4.849 8.478 0.000 -0.022 -0.087 -14.141" Properties=species:S:1:pos:R:3 pbc="T T T"
Li -5.559 5.547 -6.272
Li -4.219 5.592 -13.300
Li -2.762 0.739 -13.259
Li -2.816 6.440 -7.914
Li -2.086 1.940 -6.158
Li -2.135 7.692 -0.927
Li 0.645 2.837 -7.915
Li 2.696 6.492 -0.760
Li 0.316 0.574 -13.967
Li 4.805 8.405 -7.072
V -2.758 4.729 -10.601
V -2.114 3.621 -3.476
V -5.510 -0.009 -3.616
V 0.587 8.395 -10.565
V -7.635 3.582 -10.637
V 2.713 4.754 -3.534
P -7.850 1.854 -2.305
P -7.252 0.630 -9.366
P -5.567 5.758 -9.274
P -4.880 2.777 -12.289
P -4.888 2.847 -5.190
P -4.231 5.777 -2.226
P -2.946 6.497 -4.800
P -2.655 0.684 -2.210
P -2.286 7.688 -11.974
P -1.994 1.867 -9.281
P -0.678 2.523 -11.848
P 0.000 5.554 -8.947
P 0.002 5.657 -1.884
P 0.668 2.615 -4.902
P 2.338 7.730 -4.803
P 2.890 6.483 -11.856
O 0.992 1.965 -6.207
O -7.760 2.108 -9.361
O -2.743 8.270 -13.278
O -6.838 0.685 -2.309
O -7.109 3.226 -2.476
O -6.313 2.743 -11.565
O -6.357 4.445 -9.493
O -6.014 6.427 -13.114
O -5.785 5.614 -2.232
O -5.661 1.634 -4.626
O -5.724 0.589 -9.447
O -5.537 4.141 -4.477
O -5.001 2.815 -13.771
O -4.982 3.120 -6.656
O -4.234 4.087 -11.731
O -4.172 0.701 -2.467
O -4.100 1.529 -11.756
O -4.036 5.523 -9.343
O -3.923 6.696 -3.528
O -3.779 6.536 -6.062
O -3.803 6.532 -0.990
O -3.532 4.437 -2.416
O -3.403 2.726 -4.701
O -2.819 6.230 -11.848
O -2.767 3.180 -9.509
O -2.968 0.674 -9.404
O -7.810 0.033 -10.775
O -3.058 8.343 -8.255
O -1.833 0.017 -5.903
O -1.961 7.682 -4.747
O -2.199 5.170 -4.609
O -2.103 2.122 -2.324
O -1.487 5.654 -9.478
O -1.475 3.820 -11.771
O -1.021 1.593 -12.975
O -1.208 1.855 -7.994
O -0.940 1.699 -10.471
O -0.856 2.842 -4.779
O -0.812 6.888 -2.406
O -0.759 7.707 -11.738
O -0.664 4.377 -2.442
O 0.262 5.732 -0.415
O 0.012 5.403 -7.463
O 0.647 4.241 -9.577
O 0.814 7.794 -4.746
O 0.755 6.756 -9.573
O 0.851 2.799 -11.811
O -8.669 1.657 -3.686
O 0.971 1.809 -1.146
O 1.442 3.951 -4.650
O 1.452 5.726 -2.590
O 2.102 5.164 -11.646
O 1.952 7.707 -11.871
O -2.283 0.027 -0.905
O 2.889 8.325 -3.388
O 2.857 6.252 -4.801
O -5.889 6.486 -8.006
O 3.837 6.677 -10.572
```

Results
Mass density, Mg/m³: 2.56
Space group: P1 (1)


Arrangement b

First-principles (GGA+U) data for a relaxed Li5V3P8O29 crystal, as listed in the Materials Project.

Geometry as extended XYZ:
```
90
Lattice="-9.782 0.000 0.000 -4.885 -8.485 0.000 -0.037 -0.048 13.872" Properties=species:S:1:pos:R:3 pbc="T T T"
Li -10.480 -2.728 7.772
Li -6.970 -6.572 7.782
Li -9.778 -5.676 12.242
Li -7.558 -7.719 0.821
Li -12.718 -6.565 0.834
Li -11.972 -7.709 7.797
Li -2.045 -1.969 13.037
Li -7.127 -0.865 13.039
Li -7.765 -1.971 6.102
Li -4.253 -5.774 6.116
V -4.219 -0.059 3.552
V -5.573 -0.053 10.363
V -11.922 -3.707 10.384
V -2.775 -4.801 3.454
V -7.694 -3.689 3.380
V -6.983 -4.836 10.480
P -9.119 -2.717 11.693
P -10.470 -2.716 4.747
P -6.887 -6.516 4.742
P -9.775 -5.707 1.770
P -9.785 -5.684 8.686
P -7.601 -7.768 11.696
P -2.688 -0.752 9.109
P -12.691 -6.582 11.701
P -1.987 -1.955 2.186
P -11.993 -7.751 4.745
P -7.084 -0.756 2.199
P -4.942 -2.859 5.173
P -4.909 -2.843 12.140
P -7.828 -2.022 9.109
P -4.207 -5.827 9.137
P -5.605 -5.820 2.171
O -8.631 -2.087 7.846
O -8.924 -2.883 4.658
O -1.234 -2.000 0.912
O -10.668 -2.883 11.670
O -8.510 -4.145 11.469
O -9.064 -4.432 2.369
O -7.694 -5.231 4.480
O -6.128 -6.511 0.975
O -6.978 -6.358 11.651
O -10.512 -4.384 9.261
O -11.158 -4.081 4.458
O -8.331 -5.708 9.287
O -9.754 -5.686 0.266
O -9.799 -5.680 7.196
O -9.015 -6.958 2.320
O -11.769 -5.351 11.437
O -11.260 -5.711 2.299
O -7.821 -7.747 4.660
O -2.085 -0.082 10.458
O -7.216 -8.433 7.921
O -2.434 -0.062 12.940
O -9.132 -7.596 11.444
O -10.580 -6.944 9.249
O -2.923 -0.710 2.273
O -10.472 -7.676 4.489
O -12.626 -6.340 4.731
O -1.029 -1.783 3.471
O -10.888 -2.086 6.021
O -13.481 -6.475 7.881
O -2.083 -2.173 9.136
O -4.227 -0.817 9.379
O -11.784 -7.854 11.635
O -4.191 -1.605 4.549
O -5.569 -0.807 2.465
O -7.411 -0.006 0.941
O -7.422 -0.029 6.003
O -12.647 -8.486 3.466
O -6.947 -0.740 9.147
O -3.444 -2.848 11.561
O -2.817 -3.246 2.451
O -5.675 -1.594 11.544
O -4.937 -2.843 13.623
O -4.967 -2.814 6.662
O -6.398 -2.815 4.577
O -3.510 -4.466 9.383
O -4.201 -4.145 4.620
O -7.682 -2.175 2.263
O -8.831 -1.853 10.352
O -8.606 -2.002 12.877
O -6.995 -3.288 9.370
O -5.653 -4.101 11.489
O -6.299 -4.450 2.445
O -4.064 -5.633 2.202
O -13.476 -6.505 12.953
O -13.652 -6.747 10.412
O -5.741 -5.672 9.144
O -6.099 -6.443 6.017
O -5.870 -6.706 3.511
```

Results
Mass density, Mg/m³: 2.59
Space group: P1 (1)


Of them, arrangement a has the highest stability.